[1]
The following is a DFT calculation (PBE with a Hubbard U) of a geometry-optimized V2O5 structure.

Values from the calculation:
The calculation puts the formation energy at -1196 kJ/mol of formula units. The calculation puts the density at 2.593 g/cm3. For the corrected total energy (MP2020 scheme), the calculation gives -7.901 eV per atom. As for the space-group type: P1. The value obtained for the size of the total moment is 0.3 μB/f.u.

```
V2O5
1.0
11.683 -0.608 -0.391
-0.624 11.782 0.912
-0.420 0.927 12.813
O V
75 30
direct
0.546 0.306 0.175
0.405 0.994 0.769
0.340 0.254 0.528
0.739 0.370 0.929
0.593 0.362 0.547
0.891 0.184 0.505
0.558 0.514 0.052
0.956 0.122 0.721
0.596 0.593 0.841
0.864 0.879 0.193
0.574 0.066 0.599
0.266 0.616 0.701
0.629 0.604 0.570
0.379 0.312 0.000
0.092 0.688 0.249
0.191 0.132 0.360
0.391 0.510 0.557
0.192 0.621 0.097
0.502 0.682 0.408
0.382 0.610 0.975
0.660 0.438 0.743
0.886 0.484 0.363
0.424 0.756 0.104
0.222 0.856 0.679
0.025 0.846 0.361
0.789 0.247 0.749
0.028 0.557 0.960
0.812 0.734 0.536
0.403 0.980 0.458
0.344 0.409 0.769
0.193 0.149 0.051
0.272 0.997 0.228
0.995 0.918 0.616
0.887 0.044 0.346
0.456 0.774 0.813
0.299 0.880 0.926
0.506 0.199 0.414
0.100 0.291 0.463
0.683 0.100 0.404
0.009 0.638 0.473
0.151 0.328 0.898
0.618 0.683 0.195
0.771 0.592 0.996
0.382 0.623 0.254
0.248 0.602 0.411
0.478 0.874 0.270
0.612 0.734 0.990
0.961 0.506 0.160
0.326 0.221 0.212
0.464 0.055 0.968
0.099 0.266 0.188
0.015 0.693 0.670
0.350 0.461 0.148
0.916 0.797 0.801
0.555 0.216 0.811
0.091 0.317 0.667
0.298 0.168 0.842
0.998 0.761 0.022
0.413 0.778 0.591
0.139 0.105 0.579
0.746 0.008 0.747
0.838 0.573 0.804
0.906 0.984 0.914
0.245 0.770 0.901
0.702 0.781 0.358
0.249 0.826 0.412
0.752 0.134 0.923
0.426 0.429 0.379
0.828 0.505 0.590
0.837 0.278 0.288
0.096 0.915 0.830
0.136 0.426 0.624
0.610 0.885 0.500
0.052 0.038 0.196
0.732 0.495 0.198
0.249 0.244 0.942
0.733 0.522 0.877
0.117 0.716 0.370
0.308 0.854 0.550
0.353 0.929 0.321
0.676 0.472 0.612
0.023 0.200 0.601
0.198 0.195 0.471
0.647 0.752 0.472
0.977 0.865 0.904
0.434 0.111 0.848
0.469 0.311 0.469
0.413 0.324 0.136
0.337 0.604 0.108
0.049 0.834 0.711
0.494 0.739 0.228
0.859 0.436 0.253
0.838 0.091 0.805
0.916 0.642 0.569
0.169 0.154 0.192
0.558 0.035 0.481
0.513 0.668 0.911
0.668 0.596 0.096
0.953 0.943 0.272
0.036 0.615 0.066
0.826 0.154 0.386
0.332 0.852 0.797
0.384 0.565 0.425
0.284 0.489 0.669
0.703 0.255 0.851
```

---

[2]
The following is a DFT calculation (PBE with a Hubbard U) of a geometry-optimized VO2 structure.

Values from the calculation:
The calculation puts the formation energy at -672 kJ/mol of formula units. The calculation puts the density at 3.356 g/cm3. For the corrected total energy (MP2020 scheme), the calculation gives -8.649 eV per atom. As for the space-group type: Pmmn. The value obtained for the size of the total moment is 1.0 μB/f.u.

```
VO2
1.0
5.222 0.000 0.000
0.000 5.887 0.000
0.000 0.000 10.682
V O
8 16
direct
0.500 0.750 0.750
0.500 0.750 0.250
0.995 0.500 0.238
0.005 0.000 0.262
0.005 0.000 0.738
0.500 0.250 0.250
0.995 0.500 0.762
0.500 0.250 0.750
0.162 0.745 0.340
0.838 0.245 0.160
0.670 0.000 0.656
0.838 0.755 0.840
0.653 0.500 0.662
0.838 0.755 0.160
0.838 0.245 0.840
0.162 0.255 0.660
0.653 0.500 0.338
0.670 0.000 0.344
0.330 0.500 0.844
0.162 0.255 0.340
0.330 0.500 0.156
0.347 0.000 0.838
0.162 0.745 0.660
0.347 0.000 0.162
```

---

[3]
The following is a DFT calculation (PBE with a Hubbard U) of a geometry-optimized V2O5 structure.

Values from the calculation:
The calculation puts the formation energy at -1543 kJ/mol of formula units. The calculation puts the density at 3.018 g/cm3. For the corrected total energy (MP2020 scheme), the calculation gives -8.415 eV per atom. As for the space-group type: Pnma.

```
V2O5
1.0
6.611 0.000 0.000
0.000 7.603 0.000
0.000 0.000 7.965
V O
8 20
direct
0.750 0.624 0.119
0.750 0.876 0.619
0.250 0.376 0.881
0.750 0.239 0.331
0.250 0.124 0.381
0.750 0.261 0.831
0.250 0.761 0.669
0.250 0.739 0.169
0.969 0.752 0.123
0.250 0.988 0.554
0.750 0.488 0.946
0.031 0.248 0.877
0.469 0.252 0.377
0.250 0.827 0.863
0.531 0.748 0.623
0.250 0.673 0.363
0.750 0.327 0.637
0.250 0.512 0.054
0.531 0.752 0.123
0.750 0.012 0.446
0.469 0.248 0.877
0.750 0.485 0.294
0.031 0.252 0.377
0.250 0.985 0.206
0.250 0.515 0.706
0.969 0.748 0.623
0.750 0.015 0.794
0.750 0.173 0.137
```

---

[4]
The following is a DFT calculation (PBE with a Hubbard U) of a geometry-optimized V3O5 structure.

Values from the calculation:
The calculation puts the formation energy at -1947 kJ/mol of formula units. The calculation puts the density at 4.443 g/cm3. For the corrected total energy (MP2020 scheme), the calculation gives -9.021 eV per atom. As for the space-group type: P-1. The value obtained for the size of the total moment is 3.0 μB/f.u. The offset from the most stable computed form is 0 meV/atom.

```
V3O5
1.0
0.030 5.189 -0.006
3.414 2.618 -3.808
-6.682 -0.035 -2.388
O V
10 6
direct
0.703 0.491 0.747
0.765 0.654 0.438
0.156 0.897 0.667
0.934 0.338 0.052
0.297 0.509 0.253
0.235 0.346 0.562
0.066 0.662 0.948
0.475 0.872 0.162
0.844 0.103 0.333
0.525 0.128 0.838
0.130 0.238 0.777
0.130 0.241 0.279
0.500 0.500 0.500
0.500 0.500 0.000
0.870 0.759 0.721
0.870 0.762 0.223
```

---

[5]
The following is a DFT calculation (PBE with a Hubbard U) of a geometry-optimized VO2 structure.

Values from the calculation:
The calculation puts the formation energy at -701 kJ/mol of formula units. The calculation puts the density at 3.865 g/cm3. For the corrected total energy (MP2020 scheme), the calculation gives -8.748 eV per atom. As for the space-group type: P1. The value obtained for the size of the total moment is 1.0 μB/f.u.

```
VO2
1.0
1.231 -2.277 4.296
8.032 -2.287 -3.739
1.186 4.879 0.080
O V
12 6
direct
0.396 0.359 0.737
0.104 0.143 0.775
0.754 0.358 0.409
0.747 0.137 0.089
0.222 0.862 0.906
0.293 0.120 0.309
0.683 0.880 0.715
0.588 0.643 0.249
0.797 0.611 0.786
0.260 0.641 0.608
0.905 0.859 0.260
0.214 0.389 0.200
0.075 0.260 0.447
0.430 0.240 0.065
0.997 0.999 0.007
0.926 0.762 0.568
0.553 0.738 0.929
0.499 0.500 0.500
```

---

Q: Look up the corrected total energy (MP2020 scheme) of the fourth one.
A: -9.021 eV per atom